[1]
Ba3BP3O12, optimized geometry, DFT PBE; symmetry = No. 73; energy of formation from the pure elements = -3.177 eV per atom; density = 3.989 g/cm3; total DFT energy (no corrections) = -7.38 eV per atom; crystal system = orthorhombic
1.0
-3.5975 7.2393 11.3107
3.5975 -7.2393 11.3107
3.5975 7.2393 -11.3107
O B P Ba
48 4 12 12
Cartesian
0.3936 6.1164 4.7396 O
1.9491 0.7452 14.0716 O
5.2459 0.7452 2.7609 O
-1.6484 6.4942 8.5498 O
1.9491 7.9846 8.5498 O
0.3936 1.1230 16.0503 O
0.7147 8.9186 0.6378 O
4.8244 3.6409 -1.0375 O
2.1269 4.3330 4.0744 O
1.2269 3.5985 1.0375 O
-1.2269 3.5985 12.3481 O
1.9491 6.4942 2.7609 O
3.2039 6.1164 -4.7396 O
1.6484 -0.7452 2.7609 O
-0.0098 2.3887 2.6536 O
2.8828 -1.6792 10.6729 O
2.8828 1.6792 0.6378 O
-0.0098 4.8507 13.9642 O
3.9911 6.1164 6.5711 O
3.5877 4.8507 -2.6536 O
2.3706 3.5985 -1.0375 O
1.6484 6.4941 -2.7609 O
2.3706 -3.5985 12.3481 O
5.7244 2.9064 -4.0744 O
0.7147 5.5601 10.6729 O
-2.1269 4.3330 15.3851 O
3.2039 1.1230 6.5711 O
2.8828 5.5601 11.9485 O
-1.4706 4.3330 7.2363 O
3.6073 4.8507 8.6571 O
2.3706 3.6409 10.2732 O
2.1269 2.9064 15.3851 O
3.5877 2.3887 8.6571 O
3.6073 2.3887 -2.6536 O
0.0098 2.3887 13.9642 O
0.3936 8.3623 6.5711 O
1.4706 2.9063 7.2363 O
1.6484 0.7452 8.5498 O
0.0098 4.8507 2.6536 O
-0.3936 1.1230 4.7396 O
1.4706 4.3330 -4.0744 O
1.2269 10.8378 -1.0375 O
3.2039 -1.1230 4.7396 O
4.3122 5.5601 0.6378 O
1.2269 3.6409 12.3481 O
0.7147 1.6792 -0.6378 O
-0.7147 1.6792 10.6729 O
5.0681 2.9063 4.0744 O
0.0000 3.6197 1.8739 B
0.0000 3.6197 13.1846 B
3.5975 3.6197 -1.8739 B
3.5975 3.6197 9.4368 B
2.4139 5.4439 -3.6033 P
1.1836 5.4439 3.6033 P
1.7987 -2.5443 11.3107 P
2.4139 -1.7954 3.6033 P
1.7987 9.7837 0.0000 P
6.0114 1.7954 3.6033 P
-2.4139 5.4439 7.7074 P
2.4139 1.7954 7.7074 P
1.1836 1.7954 14.9140 P
1.1836 9.0348 7.7074 P
1.7987 2.5443 0.0000 P
1.7987 4.6950 11.3107 P
1.0836 5.6037 7.3304 Ba
1.7987 1.0035 11.3107 Ba
1.0836 -1.6357 15.2909 Ba
2.5139 1.6357 3.9802 Ba
2.5139 -1.6357 7.3304 Ba
2.5139 8.8750 -3.9802 Ba
-1.7987 6.2358 11.3107 Ba
5.3962 1.0035 0.0000 Ba
1.7987 6.2358 0.0000 Ba
1.0836 8.8750 3.9802 Ba
1.0836 1.6357 18.6411 Ba
2.5139 5.6037 -7.3304 Ba

=====

[2]
Ba3ScB3O9, optimized geometry, DFT PBE; symmetry = No. 185; energy of formation from the pure elements = -3.282 eV per atom; density = 4.710 g/cm3; total DFT energy (no corrections) = -7.69 eV per atom; crystal system = hexagonal
1.0
4.6815 -8.1086 0.0000
4.6815 8.1086 0.0000
0.0000 0.0000 17.6488
O B Ba Sc
54 18 18 6
Cartesian
1.6833 0.0000 6.3179 O
7.1094 -1.4928 9.3511 O
5.6022 -1.2064 14.8967 O
5.5669 -4.1571 3.5669 O
3.8459 -4.2484 6.0723 O
7.6796 0.0000 15.1423 O
2.4196 1.2052 9.3511 O
3.7894 6.5634 12.6454 O
1.7842 0.0000 12.6454 O
5.5171 -4.2484 14.8967 O
3.7608 1.2064 6.0723 O
6.4378 2.6537 6.0723 O
3.7894 -6.5634 12.6454 O
3.8648 1.2089 12.3913 O
2.4285 -4.2062 9.3418 O
4.5060 0.0000 9.3418 O
2.9252 -2.6537 14.8967 O
4.8569 0.0000 0.5174 O
2.4196 -1.2052 9.3511 O
7.1094 1.4928 9.3511 O
3.7608 -1.2064 6.0723 O
3.7961 -4.1571 12.3913 O
2.9794 2.7425 3.5669 O
2.2535 -1.4928 0.5267 O
5.5171 4.2484 14.8967 O
0.8921 1.5451 3.8210 O
2.2530 -3.9023 0.5174 O
3.8398 -6.6507 6.3179 O
6.9434 -1.2052 0.5267 O
3.8398 6.6507 6.3179 O
2.2530 3.9023 0.5174 O
6.3836 -2.7425 12.3913 O
4.5155 5.4106 9.3511 O
5.4982 1.2089 3.5669 O
2.9252 2.6537 14.8967 O
3.8459 4.2484 6.0723 O
5.5669 4.1571 3.5669 O
7.5788 0.0000 3.8210 O
4.8475 5.4106 0.5267 O
2.2535 1.4928 0.5267 O
4.8475 -5.4106 0.5267 O
2.4285 4.2062 9.3418 O
6.3836 2.7425 12.3913 O
3.8648 -1.2089 12.3913 O
2.9794 -2.7425 3.5669 O
6.4378 -2.6537 6.0723 O
4.5155 -5.4106 9.3511 O
5.4982 -1.2089 3.5669 O
0.8417 -1.4578 15.1423 O
0.8417 1.4578 15.1423 O
3.7961 4.1571 12.3913 O
0.8921 -1.5451 3.8210 O
6.9434 1.2052 0.5267 O
5.6022 1.2064 14.8967 O
1.5333 2.6558 14.9700 B
1.5572 -2.6972 0.5193 B
6.2963 0.0000 14.9700 B
6.1880 0.0000 3.6643 B
3.0667 0.0000 6.1456 B
6.2485 0.0000 0.5193 B
1.5333 -2.6558 14.9700 B
1.5875 2.7496 3.6643 B
3.1145 0.0000 9.3437 B
3.0940 -5.3590 12.4887 B
1.5572 2.6972 0.5193 B
3.0940 5.3590 12.4887 B
3.1481 5.4527 6.1456 B
3.1243 5.4114 9.3437 B
3.1481 -5.4527 6.1456 B
1.5875 -2.7496 3.6643 B
3.1243 -5.4114 9.3437 B
3.1749 0.0000 12.4887 B
6.3837 0.0000 11.5480 Ba
0.0000 0.0000 17.5964 Ba
3.2546 0.0000 16.0074 Ba
3.1919 5.5285 2.7236 Ba
1.6273 2.8186 7.1830 Ba
1.4896 2.5801 11.5480 Ba
3.1919 -5.5285 2.7236 Ba
0.0000 0.0000 8.7720 Ba
4.6815 2.7029 9.8582 Ba
4.6815 2.7029 1.0338 Ba
4.6815 -2.7029 1.0338 Ba
3.0542 5.2900 16.0074 Ba
2.9792 0.0000 2.7236 Ba
4.6815 -2.7029 9.8582 Ba
1.6273 -2.8186 7.1830 Ba
1.4896 -2.5801 11.5480 Ba
6.1083 0.0000 7.1830 Ba
3.0542 -5.2900 16.0074 Ba
4.6815 -2.7029 4.8939 Sc
4.6815 2.7029 4.8939 Sc
0.0000 0.0000 5.0141 Sc
0.0000 0.0000 13.8385 Sc
4.6815 2.7029 13.7183 Sc
4.6815 -2.7029 13.7183 Sc

=====

[3]
Ba3ScB9O18, optimized geometry, DFT PBE; symmetry = No. 176; energy of formation from the pure elements = -3.118 eV per atom; density = 3.643 g/cm3; total DFT energy (no corrections) = -7.92 eV per atom; crystal system = hexagonal
1.0
-2.7292 5.7218 -3.4975
-2.5144 -6.6416 -1.4095
-11.6594 1.8433 12.1139
B O Ba Sc
18 36 6 2
Cartesian
-7.3257 3.7948 2.3250 B
-3.3275 3.1627 -1.8290 B
-8.5716 1.8340 1.4242 B
-4.5734 1.2018 -2.7299 B
-12.3296 -0.2783 9.9368 B
-12.3438 -1.6054 6.0758 B
-8.3314 -0.9105 5.7827 B
-10.0856 -0.5803 4.0441 B
-6.8174 1.5038 3.1628 B
-11.0285 0.2639 7.0573 B
-13.5755 -2.2392 9.0360 B
-10.6193 -2.0725 7.8067 B
-9.5773 -2.8714 4.8819 B
-6.2837 2.9960 -0.5997 B
-14.0838 0.0518 8.1982 B
-5.8745 0.6596 0.1496 B
-2.8192 0.8717 -0.9912 B
-4.5592 2.5289 1.1311 B
-12.7139 2.7535 5.0563 O
-12.0150 -0.2308 6.1831 O
-6.1834 -0.6280 0.0483 O
-6.1301 -3.7210 0.5701 O
-7.0823 5.1024 2.3989 O
-14.2887 -1.3439 8.2011 O
-10.3504 -0.6914 7.8553 O
-8.2910 3.2219 1.4708 O
-10.7394 0.2640 3.2478 O
-10.7197 1.5515 7.1587 O
-13.8570 -3.5408 9.0017 O
-8.6120 -2.2984 5.7361 O
-6.5526 1.6149 -0.6484 O
-2.1273 0.0214 -0.2345 O
-5.4896 0.7416 -3.5802 O
-6.1636 0.6595 3.9591 O
-13.0840 0.5434 9.0734 O
-2.6144 2.2674 -0.9941 O
-4.8880 1.1543 1.0238 O
-10.7729 4.6445 6.6368 O
-10.3026 -1.9741 4.0596 O
-6.6004 2.8976 3.1473 O
-3.8190 0.3801 -1.8664 O
-4.3049 2.5917 -2.6706 O
-9.5259 1.3797 0.6134 O
-11.6262 -2.4918 6.9014 O
-4.1891 -1.8300 2.1506 O
-7.8051 1.0103 2.2750 O
-9.8207 -4.1789 4.8081 O
-12.5981 -1.6682 9.8776 O
-3.0460 4.4643 -1.7948 O
-14.7757 0.9021 7.4414 O
-7.3771 -0.4562 6.5935 O
-5.2768 3.4153 0.3056 O
-9.0979 -0.0868 4.9319 O
-11.4134 0.1819 10.7871 O
-6.9163 -1.8359 2.3936 Ba
-4.0855 -2.2834 -0.5476 Ba
-12.8175 3.2069 7.7545 Ba
-9.9868 2.7594 4.8134 Ba
-8.7445 1.3825 9.0854 Ba
-2.9148 0.4608 3.0285 Ba
0.0000 0.0000 0.0000 Sc
-5.8297 0.9217 6.0569 Sc

=====

[4]
Ba2Sc2B4O11, optimized geometry, DFT PBE; symmetry = No. 15; energy of formation from the pure elements = -3.318 eV per atom; density = 4.002 g/cm3; total DFT energy (no corrections) = -8.06 eV per atom; crystal system = monoclinic
1.0
3.1259 -7.9583 -3.8503
8.9178 -2.5700 1.3408
-0.8617 -3.9121 5.0221
B Ba O Sc
8 4 22 4
Cartesian
1.3973 -4.7088 3.3095 B
1.8410 -2.7408 0.8099 B
9.3411 -11.6996 1.7026 B
9.7847 -9.7316 -0.7970 B
6.0450 -5.4227 1.8260 B
5.1370 -9.0177 0.6865 B
3.6381 -9.2171 2.5660 B
7.5439 -5.2233 -0.0534 B
6.6528 -7.9004 -2.0835 Ba
3.0384 -6.3717 0.3626 Ba
4.5292 -6.5400 4.5960 Ba
8.1437 -8.0687 2.1499 Ba
7.7379 -3.8916 0.1642 O
1.4458 -3.8731 0.1445 O
9.7363 -10.5673 2.3680 O
10.8257 -10.6818 -0.7369 O
2.8322 -8.4039 3.3153 O
4.7727 -5.0433 2.1574 O
8.3499 -6.0365 -0.8028 O
0.9580 -1.6436 0.8915 O
3.0730 -2.6530 1.4080 O
9.9388 -8.5298 -0.1526 O
1.2432 -5.9106 2.6651 O
7.0710 -5.6195 2.7018 O
2.5347 -4.4154 4.0176 O
10.2241 -12.7968 1.6210 O
0.3563 -3.7586 3.2494 O
4.8790 -8.6603 2.0667 O
4.1111 -8.8209 -0.1893 O
3.4441 -10.5488 2.3483 O
8.1090 -11.7874 1.1046 O
6.4093 -9.3971 0.3551 O
6.3031 -5.7801 0.4459 O
8.6473 -10.0250 -1.5051 O
4.0281 -3.2411 3.1814 Sc
1.5629 -3.9791 -1.9252 Sc
0.0000 0.0000 0.0000 Sc
-0.4308 -1.9561 2.5110 Sc

=====

[5]
BaSi2B2O8, optimized geometry, DFT PBE; symmetry = No. 62; energy of formation from the pure elements = -3.198 eV per atom; density = 3.621 g/cm3; total DFT energy (no corrections) = -7.83 eV per atom; crystal system = orthorhombic
1.0
-0.7932 -8.1890 -0.8098
5.4769 -1.1386 6.1489
-6.8342 0.0589 6.0982
Si O B Ba
8 32 8 4
Cartesian
-0.5239 -1.5419 10.5841 Si
-2.7226 -4.0028 6.4678 Si
-2.4298 -0.9798 6.7667 Si
0.5721 -5.2658 4.9695 Si
0.2793 -8.2888 4.6706 Si
-1.6266 -7.7267 0.8532 Si
-1.3338 -4.7037 1.1522 Si
-0.8167 -4.5649 10.2852 Si
-2.3629 -8.1014 2.2707 O
-1.8658 -5.2273 7.1097 O
-2.1155 -1.1948 10.4767 O
0.2125 -1.1672 9.1666 O
-1.6310 -2.2687 3.4408 O
-0.1385 -4.7904 8.8083 O
-2.1613 -8.2778 6.8081 O
2.9030 -2.8535 4.9131 O
3.6143 -4.6206 6.3665 O
-0.2662 -3.1363 10.8772 O
-0.0350 -8.0738 0.9606 O
-5.0534 -6.4151 6.5242 O
-5.7648 -4.6480 5.0708 O
-3.9180 -0.5859 7.3342 O
0.5297 -5.2407 6.6013 O
-2.3526 -0.6470 5.1703 O
-1.8843 -6.1323 0.5601 O
-6.0602 -7.6985 4.7691 O
0.2925 -4.6930 1.2949 O
-2.0120 -4.4782 2.6290 O
-0.2847 -4.0413 4.3276 O
3.9098 -1.5701 6.6682 O
1.7675 -8.6827 4.1031 O
0.0327 -6.6945 4.3676 O
-2.4429 -4.5756 10.1424 O
-2.6801 -4.0279 4.8360 O
-2.1831 -2.5741 7.0697 O
-4.2689 -4.2091 6.9759 O
0.0108 -0.9908 4.6292 O
-0.5194 -6.9999 7.9966 O
2.1185 -5.0595 4.4614 O
0.2022 -8.6215 6.2670 O
-1.3660 -0.9922 4.1152 B
3.2950 -4.2666 4.9764 B
-0.7845 -8.2763 7.3221 B
-5.4454 -5.0020 6.4610 B
3.5552 -1.5804 5.2420 B
-1.6262 -3.6785 3.8495 B
-5.7056 -7.6882 6.1953 B
-0.5243 -5.5901 7.5878 B
-3.5408 -6.7803 8.7360 Ba
1.3903 -2.4883 2.7013 Ba
-3.9741 -6.2309 3.6046 Ba
1.8236 -3.0377 7.8327 Ba

=====

[6]
Ba3TbB9O18, optimized geometry, DFT PBE; symmetry = No. 176; energy of formation from the pure elements = -3.131 eV per atom; density = 3.942 g/cm3; total DFT energy (no corrections) = -7.88 eV per atom; crystal system = hexagonal
1.0
-6.1707 0.4760 -3.8318
4.0886 -6.0081 -0.4165
-8.8830 -6.9768 13.4385
B O Tb Ba
18 36 2 6
Cartesian
-7.7014 -4.2325 2.3014 B
-5.6034 -4.3570 -0.2329 B
-5.8780 -5.8810 2.6508 B
-5.1480 -8.8140 5.3641 B
-3.7315 -3.7786 1.3048 B
-4.7137 -1.8860 -2.2183 B
-3.2638 -8.2763 6.8887 B
-5.8171 -3.6949 3.8261 B
-5.3617 -8.1519 9.4230 B
-5.0871 -6.6279 6.5393 B
-5.5801 -2.1530 0.9268 B
-7.2336 -8.7302 7.8853 B
-6.2514 -10.6228 11.4084 B
-8.0747 -8.9743 11.0590 B
-2.8295 -1.3484 -0.6937 B
-5.3850 -10.3558 8.2633 B
-8.1356 -11.1605 9.8838 B
-2.8904 -3.5345 -1.8689 B
-8.6854 -9.8941 10.1751 O
-5.7167 -9.6773 4.5248 O
-6.1709 -3.0962 0.0466 O
-2.0819 -6.9929 0.7265 O
-2.2797 -2.6147 -0.9850 O
-3.9293 -9.1467 5.9996 O
-8.6545 -7.8002 11.3004 O
-7.0359 -3.3621 3.1905 O
0.0136 -5.7137 2.7757 O
-8.7160 -12.0330 9.0623 O
-2.2492 -0.4758 0.1278 O
-4.1067 -3.1393 -2.4650 O
-10.9787 -6.7951 6.4144 O
-4.7943 -9.4126 9.1435 O
-6.8584 -9.3695 11.6551 O
-6.5853 -7.8461 8.7728 O
-5.2652 -4.9596 3.5315 O
-5.6999 -7.5492 5.6586 O
-4.3644 -2.5297 1.5348 O
-8.3777 -8.4427 7.2784 O
-6.9148 -11.4916 10.5162 O
-5.6552 -5.4446 6.7630 O
-4.0504 -1.0173 -1.3261 O
-4.3798 -4.6627 0.4173 O
-5.2485 -2.8315 4.6653 O
-7.0922 -5.4842 2.0515 O
-5.8563 -1.5707 -2.8250 O
-2.5875 -4.0661 1.9117 O
-5.1088 -10.9382 12.0151 O
-8.8556 -3.9264 1.7125 O
-3.8729 -7.0247 7.1386 O
-2.3106 -4.7086 -2.1103 O
-5.3099 -7.0643 2.4271 O
-2.1095 -8.5825 7.4776 O
-8.8833 -5.5160 8.4636 O
-6.6007 -9.9792 7.6553 O
0.0000 0.0000 0.0000 Tb
-4.4415 -3.4884 6.7192 Tb
-0.5083 -4.7712 0.2258 Ba
-10.4568 -7.7376 8.9643 Ba
-8.3696 -6.0983 5.8066 Ba
-2.5955 -6.4106 3.3835 Ba
-2.2208 -1.7442 3.3596 Ba
-6.6623 -5.2326 10.0788 Ba